Entry 1:
First-principles (PBE with a Hubbard U) data for a geometry-optimized LuWO4 structure, as listed in Materials Project.

Cell lengths 5.723, 5.067, 5.244 Å; angles 84.87, 90.00, 90.00 degrees
Positions (direct):
Lu 0.302 0.500 0.750
O 0.607 0.734 0.887
W 0.825 0.000 0.750
W 0.175 0.000 0.250
O 0.906 0.218 0.042
O 0.094 0.782 0.958
O 0.906 0.782 0.458
O 0.607 0.266 0.613
O 0.393 0.266 0.113
O 0.094 0.218 0.542
O 0.393 0.734 0.387
Lu 0.698 0.500 0.250

Summary:
ΔH_f (0 K): -289.6 kJ/mol of atoms
calculated total energy: -0.2946 Ha/atom

---

Entry 2:
First-principles (PBE with a Hubbard U) data for a geometry-optimized MgMn2Mo2O8 structure, as listed in Materials Project.

Cell lengths 5.260, 5.361, 6.194 Å; angles 96.65, 82.61, 103.75 degrees
Positions (direct):
Mg 0.829 0.088 0.847
Mo 0.472 0.280 0.623
O 0.706 0.995 0.557
O 0.712 0.483 0.369
O 0.276 0.550 0.608
Mo 0.510 0.734 0.334
O 0.728 0.418 0.821
Mn 0.079 0.697 0.913
Mn 0.009 0.227 0.312
O 0.314 0.053 0.380
O 0.203 0.084 0.832
O 0.785 0.910 0.112
O 0.251 0.567 0.155

Summary:
ΔH_f (0 K): -200.8 kJ/mol of atoms
total magnetic moment: 0.923 μB/atom
calculated total energy: -0.2630 Ha/atom

---

Entry 3:
First-principles (PBE with a Hubbard U) data for a geometry-optimized Sr2MgMnMoO6 structure, as listed in Materials Project.

Cell lengths 6.062, 6.772, 5.726 Å; angles 114.88, 113.21, 108.36 degrees
Positions (direct):
Mo 0.500 0.500 0.000
O 0.168 0.306 0.483
Sr 0.740 0.321 0.551
Mn 0.000 0.000 0.000
Mg 0.000 0.000 0.500
Sr 0.260 0.679 0.449
O 0.115 0.292 0.937
O 0.470 0.157 0.805
O 0.832 0.694 0.517
O 0.530 0.843 0.195
O 0.885 0.708 0.063

Summary:
ΔH_f (0 K): -239.6 kJ/mol of atoms
total magnetic moment: 0.636 μB/atom
calculated total energy: -0.2439 Ha/atom

---

Entry 4:
First-principles (PBE with a Hubbard U) data for a geometry-optimized Na2MgMn4O8 structure, as listed in Materials Project.

Cell lengths 3.228, 5.689, 10.336 Å; angles 89.55, 90.35, 68.75 degrees
Positions (direct):
Mn 0.641 0.223 0.916
O 0.644 0.026 0.418
Mn 0.455 0.755 0.483
O 0.169 0.533 0.990
Na 0.908 0.699 0.764
O 0.581 0.373 0.748
O 0.138 0.526 0.507
O 0.253 0.984 0.885
Na 0.193 0.353 0.212
Mn 0.594 0.211 0.587
O 0.196 0.973 0.623
Mn 0.442 0.779 0.037
O 0.506 0.669 0.233
O 0.709 0.041 0.092
Mg 0.882 0.868 0.258

Summary:
ΔH_f (0 K): -191.1 kJ/mol of atoms
total magnetic moment: 1.067 μB/atom
calculated total energy: -0.2401 Ha/atom

---

Entry 5:
First-principles (PBE with a Hubbard U) data for a geometry-optimized Na2MgMn2O8 structure, as listed in Materials Project.

Cell lengths 5.485, 5.485, 7.197 Å; angles 87.09, 87.09, 68.89 degrees
Positions (direct):
Mn 0.355 0.355 0.228
O 0.750 0.750 0.945
Na 0.000 0.000 0.000
O 0.250 0.250 0.055
O 0.681 0.257 0.261
O 0.740 0.740 0.564
Mn 0.645 0.645 0.772
O 0.260 0.260 0.436
Na 0.000 0.000 0.500
O 0.743 0.319 0.739
O 0.319 0.743 0.739
Mg 0.500 0.500 0.500
O 0.257 0.681 0.261

Summary:
ΔH_f (0 K): -146.2 kJ/mol of atoms
total magnetic moment: 0.153 μB/atom
calculated total energy: -0.2064 Ha/atom

---

Entry 6:
First-principles (PBE with a Hubbard U) data for a geometry-optimized Na8MgMn2O8 structure, as listed in Materials Project.

Cell lengths 6.305, 7.853, 5.618 Å; angles 91.33, 91.83, 88.14 degrees
Positions (direct):
Na 0.528 0.189 0.274
O 0.960 0.954 0.802
Mg 0.117 0.818 0.547
O 0.248 0.990 0.330
Na 0.440 0.765 0.153
O 0.878 0.215 0.186
O 0.359 0.727 0.742
Mn 0.491 0.493 0.800
O 0.461 0.277 0.658
Na 0.050 0.602 0.966
Na 0.817 0.231 0.769
O 0.778 0.527 0.711
Na 0.735 0.489 0.310
Na 0.172 0.326 0.378
O 0.382 0.470 0.116
Na 0.686 0.807 0.635
Na 0.304 0.062 0.789
Mn 0.976 0.987 0.147
O 0.901 0.769 0.280

Summary:
ΔH_f (0 K): -168.3 kJ/mol of atoms
total magnetic moment: 0.421 μB/atom
calculated total energy: -0.1826 Ha/atom

---

Entry 7:
First-principles (PBE with a Hubbard U) data for a geometry-optimized Na2MgMn4O8 structure, as listed in Materials Project.

Cell lengths 6.203, 6.163, 5.868 Å; angles 61.57, 90.00, 112.62 degrees
Positions (direct):
Na 0.846 0.547 0.726
O 0.592 0.224 0.154
O 0.592 0.224 0.621
Na 0.904 0.953 0.024
O 0.158 0.276 0.596
Mg 0.375 0.250 0.875
O 0.558 0.697 0.652
Mn 0.375 0.750 0.875
O 0.192 0.803 0.098
O 0.215 0.850 0.575
Mn 0.875 0.250 0.375
Mn 0.375 0.750 0.375
Mn 0.375 0.250 0.375
O 0.535 0.650 0.175
O 0.158 0.276 0.129

Summary:
ΔH_f (0 K): -199.5 kJ/mol of atoms
total magnetic moment: 1.067 μB/atom
calculated total energy: -0.2433 Ha/atom

---

Entry 8:
First-principles (PBE with a Hubbard U) data for a geometry-optimized Na8MgMn2O8 structure, as listed in Materials Project.

Cell lengths 8.807, 5.896, 5.928 Å; angles 70.61, 108.25, 102.90 degrees
Positions (direct):
O 0.465 0.768 0.010
O 0.953 0.203 0.170
O 0.074 0.289 0.739
Na 0.370 0.988 0.206
Na 0.307 0.522 0.635
Mg 0.961 0.431 0.369
O 0.926 0.804 0.799
O 0.725 0.403 0.355
O 0.541 0.728 0.532
Na 0.172 0.518 0.054
O 0.105 0.749 0.290
Mn 0.013 0.007 0.002
Na 0.682 0.637 0.941
Na 0.132 0.002 0.548
O 0.359 0.271 0.416
Na 0.853 0.437 0.756
Mn 0.520 0.537 0.325
Na 0.535 0.037 0.686
Na 0.764 0.976 0.400

Summary:
ΔH_f (0 K): -170.6 kJ/mol of atoms
total magnetic moment: 0.421 μB/atom
calculated total energy: -0.1835 Ha/atom